# OsCl4O

Crystalline OsCl4O at its relaxed geometry (PBE, the Materials Project).

Cell and atoms, written as POSCAR:
```
OsCl4O
1.0
6.009 0.000 0.000
0.000 10.209 0.000
0.000 4.462 11.924
Cl O Os
16 4 4
Cartesian
1.553 6.067 0.974
1.452 8.298 6.936
0.982 4.532 4.761
4.557 6.373 4.988
4.436 3.765 2.056
3.987 7.909 1.201
4.577 5.996 8.018
3.964 12.811 10.096
2.045 1.861 1.828
5.026 10.140 7.162
2.022 6.763 10.723
1.432 8.675 3.906
0.959 4.092 7.789
4.456 8.604 10.950
1.572 10.906 9.868
5.049 10.580 4.134
1.303 13.506 11.745
4.706 1.165 0.178
4.307 3.396 6.140
1.702 11.275 5.784
3.670 2.473 0.355
5.343 4.705 6.317
2.339 12.198 11.569
0.665 9.967 5.607
```

## Properties
DFT formation energy in eV/atom: -0.627
Final energy in eV per atom: -4.441

# K2GeAs2

Crystalline K2GeAs2 at its relaxed geometry (PBE, the Materials Project).

Cell and atoms, written as POSCAR:
```
K2GeAs2
1.0
-4.693 -6.800 -1.109
-7.995 2.334 -0.347
6.811 2.485 -4.114
K As Ge
4 4 2
Cartesian
-0.036 -4.235 -4.564
-2.044 1.060 -3.303
-3.833 -3.041 -2.267
-5.841 2.253 -1.006
-7.300 -3.433 -1.771
-5.257 -0.097 -3.699
1.423 1.452 -3.799
-0.620 -1.885 -1.871
0.763 -0.953 -3.727
-6.640 -1.028 -1.843
```

## Properties
DFT formation energy in eV/atom: -0.399
Final energy in eV per atom: -3.631

# DyMnGa

Crystalline DyMnGa at its relaxed geometry (PBE, the Materials Project).

Cell and atoms, written as POSCAR:
```
DyMnGa
1.0
1.723 3.751 -5.934
-6.636 -2.775 0.722
-1.188 3.293 1.737
Mn Ga Dy
3 3 3
Cartesian
-4.444 1.047 -0.628
-1.658 3.223 -2.847
0.000 0.000 0.000
-0.153 2.606 -0.650
-2.292 0.937 1.053
-4.250 2.373 -3.010
-3.885 -1.625 0.423
-2.037 0.405 -2.161
1.009 2.196 -3.474
```

## Properties
Total magnetic moment in Bohr magnetons per cell: 9.283
DFT formation energy in eV/atom: -0.190
Final energy in eV per atom: -5.789

# Mg14ZrAl

Crystalline Mg14ZrAl at its relaxed geometry (PBE, the Materials Project).

Cell and atoms, written as POSCAR:
```
Mg14ZrAl
1.0
6.379 0.083 0.000
-3.117 5.400 0.000
0.000 0.000 10.240
Mg Al Zr
14 1 1
Cartesian
3.193 1.863 1.280
4.812 0.978 9.005
0.041 3.630 3.813
0.041 3.630 8.988
3.257 3.680 3.842
1.605 0.920 8.988
1.651 4.534 1.280
3.257 3.680 8.958
-1.536 4.513 6.400
1.649 4.558 6.400
1.605 0.920 3.813
0.017 1.810 6.400
3.213 1.848 6.400
4.812 0.978 3.795
0.042 1.824 1.280
-1.567 4.495 1.280
```

## Properties
Total magnetic moment in Bohr magnetons per cell: 0.000
DFT formation energy in eV/atom: 0.000
Final energy in eV per atom: -2.168

# Sc5OsCl9

Crystalline Sc5OsCl9 at its relaxed geometry (PBE, the Materials Project).

Cell and atoms, written as POSCAR:
```
Sc5OsCl9
1.0
-4.124 8.523 -6.998
-10.402 -5.488 -0.553
0.733 9.162 20.631
Cl Sc Os
72 40 8
Cartesian
-5.981 6.701 -5.231
-13.206 8.806 7.352
-3.607 13.494 11.364
-9.591 7.584 5.887
-9.041 3.992 5.288
-5.086 7.812 17.477
-11.958 5.542 -3.304
-1.450 11.558 13.569
-9.680 3.764 15.094
-4.348 12.683 4.822
-7.093 14.275 12.691
-4.202 4.614 7.192
-3.457 5.406 13.234
-11.274 1.677 -3.881
-0.492 7.705 12.702
-7.126 5.741 -1.426
-10.610 2.642 2.593
-6.864 2.234 7.669
-12.344 0.640 -0.490
-0.587 3.392 5.727
-7.856 1.164 11.050
-8.708 4.385 -4.397
-2.264 6.223 9.805
-5.539 7.505 1.334
-3.552 9.219 4.309
-12.240 4.974 6.649
-6.668 6.456 14.505
-10.262 7.331 16.064
-11.530 5.975 3.274
-6.526 2.111 -2.399
-10.187 -1.296 1.715
-6.124 10.832 11.994
-7.510 5.783 8.170
-10.242 2.979 8.770
-7.813 5.496 18.310
-5.055 3.515 10.558
-4.752 8.206 7.791
-8.254 4.692 11.745
-10.336 6.792 -0.155
-4.683 4.099 0.561
-9.111 8.098 12.519
-4.113 8.434 -2.015
-7.899 5.001 2.007
-6.284 6.414 4.909
-13.301 4.493 0.377
0.066 8.465 19.146
-1.494 2.828 -0.615
-6.930 9.964 5.410
-3.061 5.647 3.390
-7.670 1.366 1.085
-7.268 10.087 15.478
-10.733 6.550 9.689
-6.701 -2.078 0.389
-8.739 8.682 2.521
-5.895 7.197 11.072
-9.784 12.031 13.406
-4.063 8.708 14.362
-4.566 12.317 15.029
-1.836 6.656 16.383
-3.532 4.866 -2.985
-4.010 0.167 -0.327
-9.730 3.490 -1.283
-1.553 7.224 6.431
-9.446 -0.485 8.257
-5.938 11.034 2.029
-9.228 -0.120 -1.950
-5.133 11.714 8.637
-13.860 3.732 -6.066
-8.661 0.483 4.442
-3.184 9.556 10.486
-2.520 10.521 16.960
-12.300 9.370 13.694
-5.258 5.408 18.654
-3.435 11.282 2.883
-7.970 2.731 3.274
-4.267 6.260 15.549
-2.144 12.599 15.624
-5.397 9.658 -0.118
-10.359 0.916 10.196
-11.988 11.546 12.157
-13.498 10.158 9.566
-6.521 7.806 -2.887
-8.536 6.790 -5.575
-0.296 2.040 3.514
-5.095 1.719 1.523
-4.860 10.104 16.153
-8.397 2.540 13.197
-5.518 4.945 2.884
-8.275 7.253 10.195
-10.709 8.617 8.053
-7.273 4.391 15.966
-8.699 10.479 11.556
-4.273 2.169 8.011
-11.507 8.285 11.461
-3.085 3.581 5.026
-9.527 5.937 -2.470
-1.806 0.651 0.922
-9.521 10.029 5.068
-7.880 7.496 0.353
-5.824 9.466 9.805
-6.431 12.962 10.527
-11.650 -0.402 -2.545
-6.357 0.610 5.641
-5.914 4.702 12.726
-8.934 2.094 -3.074
-7.363 -0.765 2.552
-2.287 3.912 1.618
-7.351 8.092 7.135
-2.229 8.420 8.592
-6.442 4.105 5.944
-7.437 11.588 7.438
-11.565 3.778 4.487
-8.325 9.556 9.019
-10.975 10.440 10.061
-4.992 -0.235 3.439
-10.139 11.170 7.294
-3.654 1.028 5.785
-2.819 1.758 3.018
-8.802 12.433 9.640
-5.468 2.641 4.060
```

## Properties
Total magnetic moment in Bohr magnetons per cell: 3.976
DFT formation energy in eV/atom: -2.171
Final energy in eV per atom: -5.771

# Na4YTiSi2PO12

Crystalline Na4YTiSi2PO12 at its relaxed geometry (PBE, the Materials Project).

Cell and atoms, written as POSCAR:
```
Na4YTiSi2PO12
1.0
-3.664 3.413 -7.819
-4.476 -6.622 4.726
-10.727 15.953 11.678
Na O Y Si P Ti
24 72 6 12 6 6
Cartesian
-9.435 13.166 5.868
-12.829 13.421 6.119
-2.554 -0.814 2.265
-9.112 3.202 -1.886
-10.064 4.571 2.520
-13.316 12.997 2.693
-9.514 4.706 9.821
-5.805 7.611 2.438
-16.419 13.518 6.281
-11.431 7.370 8.309
-0.074 0.011 -0.021
-12.958 5.175 6.188
-5.948 -0.560 2.515
-13.458 4.826 2.770
-6.435 -0.984 -0.911
-12.548 16.713 5.350
-6.249 -4.098 3.184
-7.585 5.397 0.234
-12.329 13.770 9.537
-5.667 2.733 1.747
-13.130 9.882 6.788
-8.908 8.132 6.026
-9.284 7.909 -1.286
-5.062 6.159 -2.048
-10.997 3.796 5.277
-11.272 11.313 6.527
-3.380 0.027 -1.963
-8.780 0.300 -0.104
-8.137 1.186 8.628
-11.713 10.883 2.194
-4.391 -2.667 2.924
-2.270 1.034 0.310
-13.952 11.251 9.110
-4.203 5.497 1.939
-7.150 1.823 -2.797
-6.628 -2.707 0.815
-7.453 -0.423 4.532
-7.500 7.873 0.716
-8.768 6.540 7.879
-11.998 10.868 11.319
-9.525 1.752 4.381
-14.885 8.617 13.941
-11.347 9.846 8.790
-7.413 3.738 3.718
-13.089 6.860 4.076
-13.627 8.393 8.639
-4.351 3.694 -2.886
-11.654 8.956 4.974
-4.840 1.551 -0.313
-11.259 5.711 11.792
-5.579 1.474 3.821
-4.291 -0.787 0.554
-3.041 1.905 2.934
-4.922 4.567 -0.195
-9.781 6.420 0.565
-7.148 9.757 5.618
-8.129 -0.721 -2.633
-7.425 9.340 -1.547
-16.279 11.926 8.134
-11.883 7.922 10.726
-11.039 6.644 5.867
-15.708 11.053 5.443
-10.551 7.291 3.189
-9.122 11.137 4.331
-13.509 11.273 4.419
-11.721 15.532 3.290
-5.679 -0.221 -3.693
-14.334 13.557 8.136
-14.658 15.143 5.873
-11.230 4.727 8.202
-8.686 3.524 7.761
-8.151 8.895 3.245
-10.488 11.584 0.062
-3.566 1.765 -4.356
-14.398 9.264 11.263
-14.265 16.735 3.731
-10.367 12.391 8.626
-7.808 6.983 -3.100
-12.969 13.110 12.405
-7.193 4.671 -2.207
-8.198 5.667 5.188
-7.071 -2.729 5.506
-7.226 2.000 6.111
-7.384 2.754 0.128
-8.036 5.949 2.652
-4.190 3.976 -5.422
-14.737 7.385 6.366
-15.560 12.856 10.268
-5.998 5.888 4.164
-8.896 10.346 7.730
-9.752 2.542 0.982
-10.105 9.278 1.036
-11.172 13.194 4.157
-7.777 1.163 2.269
-15.501 10.929 13.048
-12.460 15.455 7.424
-11.865 2.365 1.000
-11.236 10.959 4.349
-4.355 -3.021 0.745
-5.914 2.966 -1.506
-9.132 13.533 9.916
-9.761 4.939 6.568
-7.264 0.393 -3.519
-11.591 7.415 4.544
-4.080 2.029 4.289
-15.045 7.798 7.999
-15.437 9.388 12.618
-11.111 2.366 4.555
-7.771 10.284 4.166
-7.534 2.412 7.744
-11.618 12.257 12.240
-8.401 1.690 0.817
-10.482 10.961 7.904
-3.688 0.439 -0.330
-8.156 -1.587 5.308
-11.252 7.283 12.009
-11.190 10.420 0.837
-15.037 12.393 8.912
-3.559 3.337 -4.139
-7.405 5.310 3.935
-5.276 5.797 -6.060
-7.599 1.769 4.251
-10.634 13.776 -0.219
-9.123 7.770 2.014
-12.969 9.743 10.088
-14.480 15.749 7.855
```

## Properties
Total magnetic moment in Bohr magnetons per cell: 0.000
DFT formation energy in eV/atom: -2.985
Final energy in eV per atom: -7.130

# Ti6Ge5

Crystalline Ti6Ge5 at its relaxed geometry (PBE, the Materials Project).

Cell and atoms, written as POSCAR:
```
Ti6Ge5
1.0
-2.637 -9.341 0.844
-6.652 -2.825 6.534
2.278 5.412 -7.774
Ti Ge
12 10
Cartesian
-0.852 -3.683 -4.676
-3.051 -3.647 -2.362
0.506 1.012 -5.188
-3.959 -3.107 1.966
-1.360 -2.172 0.266
-3.466 0.009 1.210
-5.650 -4.582 -0.662
-7.516 -7.766 4.791
-6.159 -3.072 4.280
-4.145 -6.266 1.547
-2.865 -0.488 -1.943
-3.544 -6.763 -1.607
-1.700 0.540 -3.907
-1.093 0.647 -0.310
-0.775 -2.406 -2.285
-2.792 -4.692 0.058
0.391 3.634 -4.827
-5.310 -7.294 3.511
-4.219 -2.062 -0.455
-3.280 1.940 -0.931
-6.236 -4.348 1.888
-7.401 -10.388 4.430
```

## Properties
DFT formation energy in eV/atom: -0.663
Final energy in eV per atom: -7.071

# LiMg14Cd

Crystalline LiMg14Cd at its relaxed geometry (PBE, the Materials Project).

Cell and atoms, written as POSCAR:
```
LiMg14Cd
1.0
6.350 0.000 0.000
-3.175 5.500 0.000
0.000 0.000 10.306
Mg Cd Li
14 1 1
Cartesian
3.175 1.839 6.441
3.175 3.666 3.856
-1.588 4.583 1.288
1.593 4.580 6.441
4.770 0.921 9.015
-1.593 4.580 6.441
0.000 3.658 9.015
1.580 0.921 9.015
4.770 0.921 3.868
3.175 1.833 1.288
1.580 0.921 3.868
3.175 3.666 9.026
0.000 3.658 3.868
1.588 4.583 1.288
0.000 1.833 6.441
0.000 1.833 1.288
```

## Properties
Total magnetic moment in Bohr magnetons per cell: 0.000
DFT formation energy in eV/atom: -0.023
Final energy in eV per atom: -1.600